[1]
23
Lattice="0.000 4.744 4.744 4.744 0.000 4.744 4.744 4.744 0.000" Properties=species:S:1:pos:R:3 comment="PBE Mg6TiH16, relaxed" corrected_energy_ev_per_atom=-3.311 magmom_total_mub_per_atom=0.040 pbc="T T T"
Mg 2.372 2.372 0.000
Mg 2.372 4.744 2.372
Mg 4.744 2.372 2.372
Mg 2.372 2.372 4.744
Mg 2.372 0.000 2.372
Mg 0.000 2.372 2.372
Ti 0.000 0.000 0.000
H 5.815 5.815 8.417
H 5.815 8.417 5.815
H 8.417 5.815 5.815
H 8.417 8.417 8.417
H 3.673 3.673 1.071
H 3.673 1.071 3.673
H 1.071 3.673 3.673
H 1.071 1.071 1.071
H 3.376 3.376 6.112
H 3.376 6.112 3.376
H 6.112 3.376 3.376
H 6.112 6.112 6.112
H 6.112 6.112 3.376
H 6.112 3.376 6.112
H 3.376 6.112 6.112
H 3.376 3.376 3.376


[2]
31
Lattice="6.121 4.336 0.000 -6.121 4.336 0.000 0.000 4.327 6.119" Properties=species:S:1:pos:R:3 comment="PBE Mn29H2, relaxed" corrected_energy_ev_per_atom=-8.806 magmom_total_mub_per_atom=0.114 pbc="T T T"
Mn 0.000 0.001 0.001
Mn 1.182 7.898 2.277
Mn -1.182 7.898 2.277
Mn 0.000 6.210 1.087
Mn -3.840 5.108 1.178
Mn -3.841 9.444 4.949
Mn 1.091 2.463 0.000
Mn -1.171 3.550 3.840
Mn 1.171 3.550 3.840
Mn 0.000 10.541 5.025
Mn 3.841 9.444 4.949
Mn 3.840 5.108 1.178
Mn -1.091 2.463 0.000
Mn -1.958 5.616 2.353
Mn 1.958 5.616 2.353
Mn 0.000 8.381 4.350
Mn 2.353 7.385 4.162
Mn 2.370 3.062 1.955
Mn -1.769 4.621 0.000
Mn 1.957 9.938 3.750
Mn -1.957 9.938 3.750
Mn 0.000 4.050 1.767
Mn -2.370 3.062 1.955
Mn -2.353 7.385 4.162
Mn 1.769 4.621 0.000
Mn 0.000 5.901 3.910
Mn -2.211 7.103 0.002
Mn 0.000 1.563 2.209
Mn 2.211 7.103 0.002
H 3.304 8.668 3.303
H -3.304 8.668 3.303


Number 1: formation energy -0.19 eV per atom. Number 2: formation energy -0.02 eV per atom.